# 1
Crystalline Li2CuAsCO7 at its relaxed geometry. Source: the Materials Project database, functional PBE-GGA.

abc: 6.3427 5.3058 8.7022
angles: 85.72 90.00 90.00
Atoms (fractional coordinates):
Li 0.4902 0.7904 0.7718
Li 0.0098 0.7904 0.7718
Li 0.5098 0.2096 0.2282
Li 0.9902 0.2096 0.2282
Cu 0.2500 0.2227 0.6558
Cu 0.7500 0.7773 0.3442
As 0.7500 0.3015 0.5651
As 0.2500 0.6985 0.4349
C 0.2500 0.2940 0.9500
C 0.7500 0.7060 0.0500
O 0.7500 0.7518 0.9039
O 0.2500 0.0925 0.8663
O 0.2500 0.5113 0.8779
O 0.9546 0.1851 0.6803
O 0.5454 0.1851 0.6803
O 0.2500 0.7985 0.6151
O 0.7500 0.6339 0.5518
O 0.2500 0.3661 0.4482
O 0.7500 0.2015 0.3849
O 0.4546 0.8149 0.3197
O 0.0454 0.8149 0.3197
O 0.7500 0.4887 0.1221
O 0.7500 0.9075 0.1337
O 0.2500 0.2482 0.0961

- space group = No. 11
- V (Å³ per atom) = 12.168
- spin magnetization (μB per atom) = 0.0000
- E_form (eV/atom) = -1.750

# 2
Crystalline Na2CuAsCO7 at its relaxed geometry. Source: the Materials Project database, functional PBE-GGA.

abc: 6.6543 5.2911 9.1986
angles: 89.34 90.00 90.00
Atoms (fractional coordinates):
Na 0.5043 0.7694 0.7656
Na 0.9957 0.7694 0.7656
Na 0.4957 0.2306 0.2344
Na 0.0043 0.2306 0.2344
Cu 0.2500 0.2174 0.6495
Cu 0.7500 0.7826 0.3505
As 0.7500 0.2965 0.5740
As 0.2500 0.7035 0.4260
C 0.2500 0.2730 0.9263
C 0.7500 0.7270 0.0737
O 0.7500 0.7170 0.9364
O 0.2500 0.0592 0.8583
O 0.2500 0.4722 0.8420
O 0.9522 0.2063 0.6792
O 0.5478 0.2063 0.6792
O 0.2500 0.8383 0.5943
O 0.7500 0.6234 0.5520
O 0.2500 0.3766 0.4480
O 0.7500 0.1617 0.4057
O 0.4522 0.7937 0.3208
O 0.0478 0.7937 0.3208
O 0.7500 0.5278 0.1580
O 0.7500 0.9408 0.1417
O 0.2500 0.2830 0.0636

- space group = No. 11
- V (Å³ per atom) = 13.494
- spin magnetization (μB per atom) = 0.1668
- E_form (eV/atom) = -1.719

# 3
Crystalline AsCF3 at its relaxed geometry. Source: the Materials Project database, functional PBE-GGA.

abc: 10.7135 10.7135 6.4873
angles: 90.00 90.00 90.00
Atoms (fractional coordinates):
As 0.5000 0.6555 0.0655
As 0.5000 0.3445 0.0655
As 0.8445 0.0000 0.5655
As 0.1555 0.0000 0.5655
As 0.6555 0.5000 0.9345
As 0.0000 0.8445 0.4345
As 0.0000 0.1555 0.4345
As 0.3445 0.5000 0.9345
C 0.5000 0.7610 0.8011
C 0.5000 0.2390 0.8011
C 0.7390 0.0000 0.3011
C 0.2610 0.0000 0.3011
C 0.7610 0.5000 0.1989
C 0.0000 0.7390 0.6989
C 0.0000 0.2610 0.6989
C 0.2390 0.5000 0.1989
F 0.3366 0.8972 0.2987
F 0.3972 0.1634 0.7987
F 0.6028 0.8366 0.7987
F 0.6634 0.1028 0.2987
F 0.1634 0.3972 0.2013
F 0.8366 0.6028 0.2013
F 0.8972 0.3366 0.7013
F 0.1028 0.6634 0.7013
F 0.3040 0.5000 0.3801
F 0.0000 0.1960 0.8801
F 0.0000 0.8040 0.8801
F 0.6960 0.5000 0.3801
F 0.1960 0.0000 0.1199
F 0.8040 0.0000 0.1199
F 0.5000 0.3040 0.6199
F 0.5000 0.6960 0.6199
F 0.1634 0.6028 0.2013
F 0.1028 0.3366 0.7013
F 0.8972 0.6634 0.7013
F 0.8366 0.3972 0.2013
F 0.3366 0.1028 0.2987
F 0.6634 0.8972 0.2987
F 0.6028 0.1634 0.7987
F 0.3972 0.8366 0.7987

- space group = No. 137
- V (Å³ per atom) = 18.615
- spin magnetization (μB per atom) = 0.0000
- E_form (eV/atom) = -1.487

# 4
Crystalline UAsC2N2O4F2 at its relaxed geometry. Source: the Materials Project database, functional PBE-GGA.

abc: 7.9074 9.6945 10.9927
angles: 81.57 68.92 65.93
Atoms (fractional coordinates):
U 0.9587 0.0826 0.7500
U 0.2913 0.4174 0.7500
U 0.0413 0.9174 0.2500
U 0.7087 0.5826 0.2500
As 0.9975 0.2500 0.0050
As 0.7525 0.2500 0.4950
As 0.0025 0.7500 0.9950
As 0.2475 0.7500 0.5050
C 0.5553 0.7524 0.6754
C 0.4831 0.7476 0.8246
C 0.6923 0.7524 0.8246
C 0.7693 0.7476 0.6754
C 0.4447 0.2476 0.3246
C 0.5169 0.2524 0.1754
C 0.3077 0.2476 0.1754
C 0.2307 0.2524 0.3246
N 0.6607 0.8432 0.5936
N 0.5975 0.6568 0.9064
N 0.4961 0.8432 0.9064
N 0.7457 0.6568 0.5936
N 0.3393 0.1568 0.4064
N 0.4025 0.3432 0.0936
N 0.5039 0.1568 0.0936
N 0.2543 0.3432 0.4064
O 0.8765 0.4057 0.1054
O 0.8877 0.0943 0.3946
O 0.7178 0.4057 0.3946
O 0.0180 0.0943 0.1054
O 0.1235 0.5943 0.8946
O 0.1123 0.9057 0.6054
O 0.2822 0.5943 0.6054
O 0.9820 0.9057 0.8946
O 0.8708 0.2402 0.9100
O 0.5210 0.2598 0.5900
O 0.8889 0.2402 0.5900
O 0.2192 0.2598 0.9100
O 0.1292 0.7598 0.0900
O 0.4790 0.7402 0.4100
O 0.1111 0.7598 0.4100
O 0.7808 0.7402 0.0900
F 0.2302 0.0799 0.7208
F 0.5308 0.4201 0.7792
F 0.6900 0.0799 0.7792
F 0.0490 0.4201 0.7208
F 0.7698 0.9201 0.2792
F 0.4692 0.5799 0.2208
F 0.3100 0.9201 0.2208
F 0.9510 0.5799 0.2792

- space group = No. 70
- V (Å³ per atom) = 14.957
- spin magnetization (μB per atom) = 0.0832
- E_form (eV/atom) = -1.303

# 5
Crystalline ZnAs2C4N2F18 at its relaxed geometry. Source: the Materials Project database, functional PBE-GGA.

abc: 6.8838 11.0135 11.4189
angles: 74.69 90.00 90.00
Atoms (fractional coordinates):
Zn 0.0000 0.0000 0.0000
Zn 0.5000 0.5000 0.0000
As 0.7512 0.7001 0.1822
As 0.2488 0.2999 0.8178
As 0.2512 0.7999 0.8178
As 0.7488 0.2001 0.1822
C 0.2064 0.9269 0.2549
C 0.7936 0.0731 0.7451
C 0.7064 0.5731 0.7451
C 0.2936 0.4269 0.2549
C 0.7672 0.6218 0.6149
C 0.2328 0.3782 0.3851
C 0.2672 0.8782 0.3851
C 0.7328 0.1218 0.6149
N 0.1475 0.9595 0.1572
N 0.8525 0.0405 0.8428
N 0.6475 0.5405 0.8428
N 0.3525 0.4595 0.1572
F 0.7003 0.5570 0.2878
F 0.2997 0.4430 0.7122
F 0.2003 0.9430 0.7122
F 0.7997 0.0570 0.2878
F 0.5087 0.7497 0.1822
F 0.4913 0.2503 0.8178
F 0.0087 0.7503 0.8178
F 0.9913 0.2497 0.1822
F 0.7999 0.8466 0.0655
F 0.2001 0.1534 0.9345
F 0.2999 0.6534 0.9345
F 0.7001 0.3466 0.0655
F 0.6875 0.6303 0.0584
F 0.3125 0.3697 0.9416
F 0.1875 0.8697 0.9416
F 0.8125 0.1303 0.0584
F 0.4470 0.9179 0.4014
F 0.5530 0.0821 0.5986
F 0.9470 0.5821 0.5986
F 0.0530 0.4179 0.4014
F 0.8147 0.7737 0.2954
F 0.1853 0.2263 0.7046
F 0.3147 0.7263 0.7046
F 0.6853 0.2737 0.2954
F 0.9929 0.6565 0.1668
F 0.0071 0.3435 0.8332
F 0.4929 0.8435 0.8332
F 0.5071 0.1565 0.1668
F 0.7633 0.7486 0.5848
F 0.2367 0.2514 0.4152
F 0.2633 0.7514 0.4152
F 0.7367 0.2486 0.5848
F 0.6403 0.5793 0.5453
F 0.3597 0.4207 0.4547
F 0.1403 0.9207 0.4547
F 0.8597 0.0793 0.5453

- space group = No. 14
- V (Å³ per atom) = 15.463
- spin magnetization (μB per atom) = 0.0000
- E_form (eV/atom) = -1.869

# 6
Crystalline AsCSF11 at its relaxed geometry. Source: the Materials Project database, functional PBE-GGA.

abc: 11.3728 6.3780 11.9178
angles: 79.41 90.00 90.00
Atoms (fractional coordinates):
As 0.0161 0.1631 0.2184
As 0.9839 0.8369 0.7816
As 0.4839 0.1631 0.7184
As 0.5161 0.8369 0.2816
C 0.7906 0.4883 0.5157
C 0.2094 0.5117 0.4843
C 0.7094 0.4883 0.0157
C 0.2906 0.5117 0.9843
S 0.3268 0.6923 0.5472
S 0.6732 0.3077 0.4528
S 0.8268 0.3077 0.9528
S 0.1732 0.6923 0.0472
F 0.5756 0.6613 0.4066
F 0.7825 0.3669 0.8262
F 0.7565 0.0938 0.9843
F 0.3719 0.7808 0.3475
F 0.5007 0.3863 0.7842
F 0.1281 0.7808 0.8475
F 0.2175 0.6331 0.1738
F 0.0756 0.3387 0.0934
F 0.5271 0.0499 0.3584
F 0.8719 0.2192 0.1525
F 0.9993 0.3863 0.2842
F 0.9244 0.6613 0.9066
F 0.4729 0.9501 0.6416
F 0.9729 0.0499 0.8584
F 0.4502 0.0031 0.1659
F 0.6584 0.8869 0.2275
F 0.7338 0.5995 0.5826
F 0.2338 0.4005 0.9174
F 0.2825 0.6331 0.6738
F 0.0271 0.9501 0.1416
F 0.6307 0.3571 0.0738
F 0.2565 0.9062 0.5157
F 0.4244 0.3387 0.5934
F 0.6599 0.6158 0.9278
F 0.1599 0.3842 0.5722
F 0.8401 0.6158 0.4278
F 0.7435 0.0938 0.4843
F 0.8416 0.8869 0.7275
F 0.8693 0.3571 0.5738
F 0.5498 0.9969 0.8341
F 0.0007 0.6137 0.7158
F 0.1307 0.6429 0.4262
F 0.3416 0.1131 0.7725
F 0.4993 0.6137 0.2158
F 0.1584 0.1131 0.2725
F 0.9502 0.9969 0.3341
F 0.7175 0.3669 0.3262
F 0.2435 0.9062 0.0157
F 0.0498 0.0031 0.6659
F 0.2662 0.4005 0.4174
F 0.7662 0.5995 0.0826
F 0.3693 0.6429 0.9262
F 0.3401 0.3842 0.0722
F 0.6281 0.2192 0.6525

- space group = No. 14
- V (Å³ per atom) = 15.174
- spin magnetization (μB per atom) = 0.0000
- E_form (eV/atom) = -2.107

# 7
Crystalline GaAsH5CNO5 at its relaxed geometry. Source: the Materials Project database, functional PBE-GGA.

abc: 4.7269 6.1830 19.2936
angles: 90.00 96.50 90.00
Atoms (fractional coordinates):
Ga 0.9927 0.8656 0.7462
Ga 0.0073 0.3656 0.7538
Ga 0.0073 0.1344 0.2538
Ga 0.9927 0.6344 0.2462
As 0.5115 0.1075 0.8456
As 0.4885 0.6075 0.6544
As 0.4885 0.8925 0.1544
As 0.5115 0.3925 0.3456
H 0.0955 0.1159 0.0659
H 0.9045 0.6159 0.4341
H 0.9045 0.8841 0.9341
H 0.0955 0.3841 0.5659
H 0.8569 0.2940 0.0924
H 0.1431 0.7940 0.4076
H 0.1431 0.7060 0.9076
H 0.8569 0.2060 0.5924
H 0.7939 0.1760 0.0117
H 0.2061 0.6760 0.4883
H 0.2061 0.8240 0.9883
H 0.7939 0.3240 0.5117
H 0.2652 0.4822 0.0547
H 0.7348 0.9822 0.4453
H 0.7348 0.5178 0.9453
H 0.2652 0.0178 0.5547
H 0.2095 0.3355 0.9742
H 0.7905 0.8355 0.5258
H 0.7905 0.6645 0.0258
H 0.2095 0.1645 0.4742
C 0.1031 0.4135 0.0154
C 0.8969 0.9135 0.4846
C 0.8969 0.5865 0.9846
C 0.1031 0.0865 0.5154
N 0.9484 0.2416 0.0492
N 0.0516 0.7416 0.4508
N 0.0516 0.7584 0.9508
N 0.9484 0.2584 0.5492
O 0.6533 0.0785 0.9297
O 0.3467 0.5785 0.5703
O 0.3467 0.9215 0.0703
O 0.6533 0.4215 0.4297
O 0.3103 0.8801 0.8227
O 0.6897 0.3801 0.6773
O 0.6897 0.1199 0.1773
O 0.3103 0.6199 0.3227
O 0.3172 0.3423 0.8317
O 0.6828 0.8423 0.6683
O 0.6828 0.6577 0.1683
O 0.3172 0.1577 0.3317
O 0.7908 0.1125 0.7931
O 0.2092 0.6125 0.7069
O 0.2092 0.8875 0.2069
O 0.7908 0.3875 0.2931
O 0.1320 0.1194 0.6983
O 0.8680 0.6194 0.8017
O 0.8680 0.8806 0.3017
O 0.1320 0.3806 0.1983

- space group = No. 14
- V (Å³ per atom) = 10.004
- spin magnetization (μB per atom) = 0.0715
- E_form (eV/atom) = -1.001